Model w:
A geometry-optimized Sm structure, computed with PBE.

Results
Density   7.34 g/cm3
SG   R-3m, No. 166

The structure in POSCAR format:
```
Sm
1.0
1.8304 1.0568 8.7974
-1.8304 1.0568 8.7974
0.0000 -2.1136 8.7974
Sm
3
Direct
0.0000 0.0000 0.0000 Sm
0.2224 0.2224 0.2224 Sm
0.7776 0.7776 0.7776 Sm
```

Model x:
A geometry-optimized Sm structure, computed with PBE.

Results
Density   7.27 g/cm3
SG   P6_3/mmc, No. 194

The structure in POSCAR format:
```
Sm
1.0
3.6817 0.0000 0.0000
-1.8409 3.1885 0.0000
0.0000 0.0000 5.8500
Sm
2
Direct
0.3333 0.6667 0.2500 Sm
0.6667 0.3333 0.7500 Sm
```

Model y:
A geometry-optimized Sm structure, computed with PBE.

Results
Density   7.29 g/cm3
SG   Fm-3m, No. 225

The structure in POSCAR format:
```
Sm
1.0
0.0000 2.5778 2.5778
2.5778 0.0000 2.5778
2.5778 2.5778 0.0000
Sm
1
Direct
0.0000 0.0000 0.0000 Sm
```

Stability comparison, relative energies in meV per atom: model w 0; model x 21; model y 10

Model w:
A geometry-optimized SmTm3 structure, computed with PBE.

Results
Density   8.84 g/cm3
SG   Pm-3m, No. 221

The structure in POSCAR format:
```
SmTm3
1.0
4.9801 0.0000 0.0000
0.0000 4.9801 0.0000
0.0000 0.0000 4.9801
Sm Tm
1 3
Direct
0.0000 0.0000 0.0000 Sm
0.0000 0.5000 0.5000 Tm
0.5000 0.0000 0.5000 Tm
0.5000 0.5000 0.0000 Tm
```

Model x:
A geometry-optimized SmTm3 structure, computed with PBE.

Results
Density   8.75 g/cm3
SG   P6_3/mmc, No. 194

The structure in POSCAR format:
```
SmTm3
1.0
7.1784 0.0000 0.0000
-3.5892 6.2167 0.0000
0.0000 0.0000 5.5917
Sm Tm
2 6
Direct
0.3333 0.6667 0.2500 Sm
0.6667 0.3333 0.7500 Sm
0.1658 0.3315 0.7500 Tm
0.1658 0.8342 0.7500 Tm
0.3315 0.1658 0.2500 Tm
0.6685 0.8342 0.7500 Tm
0.8342 0.1658 0.2500 Tm
0.8342 0.6685 0.2500 Tm
```

Stability comparison, relative energies in meV per atom: model w 18; model x 0

Model w:
A geometry-optimized Sm3Tm structure, computed with PBE.

Results
Density   7.75 g/cm3
SG   I4/mmm, No. 139

The structure in POSCAR format:
```
Sm3Tm
1.0
-2.5553 2.5553 5.0859
2.5553 -2.5553 5.0859
2.5553 2.5553 -5.0859
Sm Tm
3 1
Direct
0.0000 0.0000 0.0000 Sm
0.2500 0.7500 0.5000 Sm
0.7500 0.2500 0.5000 Sm
0.5000 0.5000 0.0000 Tm
```

Model x:
A geometry-optimized Sm3Tm structure, computed with PBE.

Results
Density   7.81 g/cm3
SG   Pm-3m, No. 221

The structure in POSCAR format:
```
Sm3Tm
1.0
5.0884 0.0000 0.0000
0.0000 5.0884 0.0000
0.0000 0.0000 5.0884
Sm Tm
3 1
Direct
0.0000 0.0000 0.5000 Sm
0.0000 0.5000 0.0000 Sm
0.5000 0.0000 0.0000 Sm
0.5000 0.5000 0.5000 Tm
```

Stability comparison, relative energies in meV per atom: model w 8; model x 0

Model w:
A geometry-optimized Ti6Sn5 structure, computed with PBE.

Results
Density   6.81 g/cm3
SG   P6_3/mmc, No. 194

The structure in POSCAR format:
```
Ti6Sn5
1.0
9.3071 0.0000 0.0000
-4.6536 8.0602 0.0000
0.0000 0.0000 5.7228
Ti Sn
12 10
Direct
0.0000 0.5000 0.0000 Ti
0.0000 0.5000 0.5000 Ti
0.1566 0.3132 0.2500 Ti
0.1566 0.8434 0.2500 Ti
0.3132 0.1566 0.7500 Ti
0.5000 0.0000 0.0000 Ti
0.5000 0.0000 0.5000 Ti
0.5000 0.5000 0.0000 Ti
0.5000 0.5000 0.5000 Ti
0.6868 0.8434 0.2500 Ti
0.8434 0.1566 0.7500 Ti
0.8434 0.6868 0.7500 Ti
0.0000 0.0000 0.0000 Sn
0.0000 0.0000 0.5000 Sn
0.2044 0.4089 0.7500 Sn
0.2044 0.7956 0.7500 Sn
0.3333 0.6667 0.2500 Sn
0.4089 0.2044 0.2500 Sn
0.5911 0.7956 0.7500 Sn
0.6667 0.3333 0.7500 Sn
0.7956 0.2044 0.2500 Sn
0.7956 0.5911 0.2500 Sn
```

Model x:
A geometry-optimized Ti6Sn5 structure, computed with PBE.

Results
Density   6.73 g/cm3
SG   Immm, No. 71

The structure in POSCAR format:
```
Ti6Sn5
1.0
-2.8682 4.5809 8.2694
2.8682 -4.5809 8.2694
2.8682 4.5809 -8.2694
Ti Sn
12 10
Direct
0.0000 0.0000 0.5000 Ti
0.0000 0.5000 0.0000 Ti
0.1429 0.4139 0.7289 Ti
0.1578 0.1578 0.0000 Ti
0.3150 0.5861 0.7289 Ti
0.5000 0.0000 0.0000 Ti
0.5000 0.2661 0.7661 Ti
0.5000 0.5000 0.5000 Ti
0.5000 0.7339 0.2339 Ti
0.6850 0.4139 0.2711 Ti
0.8422 0.8422 0.0000 Ti
0.8571 0.5861 0.2711 Ti
0.0000 0.2455 0.2455 Sn
0.0000 0.7545 0.7545 Sn
0.2042 0.8958 0.3084 Sn
0.2085 0.7085 0.5000 Sn
0.3307 0.3307 0.0000 Sn
0.4126 0.1042 0.3084 Sn
0.5874 0.8958 0.6916 Sn
0.6693 0.6693 0.0000 Sn
0.7915 0.2915 0.5000 Sn
0.7958 0.1042 0.6916 Sn
```

Stability comparison, relative energies in meV per atom: model w 0; model x 21

Model w:
A geometry-optimized Sr3U structure, computed with PBE.

Results
Density   4.69 g/cm3
SG   Pm-3m, No. 221

The structure in POSCAR format:
```
Sr3U
1.0
5.6191 0.0000 0.0000
0.0000 5.6191 0.0000
0.0000 0.0000 5.6191
Sr U
3 1
Direct
0.0000 0.0000 0.5000 Sr
0.0000 0.5000 0.0000 Sr
0.5000 0.0000 0.0000 Sr
0.5000 0.5000 0.5000 U
```

Model x:
A geometry-optimized Sr3U structure, computed with PBE.

Results
Density   3.97 g/cm3
SG   Fm-3m, No. 225

The structure in POSCAR format:
```
Sr3U
1.0
0.0000 4.7149 4.7149
4.7149 0.0000 4.7149
4.7149 4.7149 0.0000
Sr U
3 1
Direct
0.0000 0.0000 0.0000 Sr
0.2500 0.2500 0.2500 Sr
0.7500 0.7500 0.7500 Sr
0.5000 0.5000 0.5000 U
```

Stability comparison, relative energies in meV per atom: model w 0; model x 16

Model w:
A geometry-optimized Sr3Zr structure, computed with PBE.

Results
Density   3.46 g/cm3
SG   Pm-3m, No. 221

The structure in POSCAR format:
```
Sr3Zr
1.0
5.5392 0.0000 0.0000
0.0000 5.5392 0.0000
0.0000 0.0000 5.5392
Sr Zr
3 1
Direct
0.0000 0.0000 0.5000 Sr
0.0000 0.5000 0.0000 Sr
0.5000 0.0000 0.0000 Sr
0.5000 0.5000 0.5000 Zr
```

Model x:
A geometry-optimized Sr3Zr structure, computed with PBE.

Results
Density   3.48 g/cm3
SG   I4/mmm, No. 139

The structure in POSCAR format:
```
Sr3Zr
1.0
-2.7760 2.7760 5.4823
2.7760 -2.7760 5.4823
2.7760 2.7760 -5.4823
Sr Zr
3 1
Direct
0.0000 0.0000 0.0000 Sr
0.2500 0.7500 0.5000 Sr
0.7500 0.2500 0.5000 Sr
0.5000 0.5000 0.0000 Zr
```

Stability comparison, relative energies in meV per atom: model w 18; model x 0